1.
Li2TiFeO4: relaxed, PBE+U.

a = 4.2450 Å, b = 5.3378 Å, c = 15.0958 Å
α = 80.30°, β = 82.28°, γ = 66.60°
Space group P1 (No. 1)
Inequivalent atoms, fractional coordinates:
Li1 0.0000 0.0000 0.0000
Li2 0.0495 0.7536 0.1777
Li3 0.2466 0.7530 0.7518
Li4 0.3064 0.4984 0.9276
Li5 0.4884 0.5240 0.4996
Li6 0.5505 0.2593 0.6779
Li7 0.7095 0.3452 0.2391
Li8 0.7974 0.0069 0.4277
Ti1 0.0556 0.4575 0.3739
Ti2 0.3124 0.1984 0.1202
Ti3 0.5571 0.9579 0.8695
Ti4 0.8023 0.7162 0.6208
Fe1 0.1799 0.1262 0.5563
Fe2 0.4156 0.8897 0.3011
Fe3 0.6888 0.6133 0.0513
Fe4 0.9354 0.3686 0.8032
O1 0.0297 0.3256 0.6678
O2 0.1282 0.9417 0.8658
O3 0.2111 0.5682 0.0577
O4 0.2389 0.3161 0.2368
O5 0.2806 0.0766 0.4202
O6 0.3752 0.6972 0.6162
O7 0.4554 0.3302 0.8086
O8 0.4872 0.0627 0.9876
O9 0.5413 0.8038 0.1652
O10 0.6256 0.4523 0.3660
O11 0.7022 0.0845 0.5595
O12 0.7329 0.8202 0.7385
O13 0.7865 0.5687 0.9156
O14 0.8826 0.1851 0.1157
O15 0.9576 0.8248 0.3094
O16 0.9792 0.5735 0.4898

Calculated values
Formation energy from the elements, eV/atom: -2.565
Crystal system: triclinic
Final energy, eV/atom: -6.936

---

2.
Li3V2O3F3: relaxed, PBE+U.

a = 3.2296 Å, b = 5.6746 Å, c = 13.4714 Å
α = 93.74°, β = 96.73°, γ = 90.39°
Space group P1 (No. 1)
Inequivalent atoms, fractional coordinates:
Li1 0.0000 0.0000 0.0000
Li2 0.0897 0.3617 0.1804
Li3 0.1792 0.0558 0.3605
Li4 0.5000 0.5000 0.0000
Li5 0.5896 0.8617 0.1804
Li6 0.6793 0.5560 0.3604
V1 0.2831 0.4266 0.5716
V2 0.4006 0.7991 0.8001
V3 0.7880 0.9265 0.5717
V4 0.8999 0.2990 0.8001
O1 0.2493 0.0788 0.5100
O2 0.3303 0.7749 0.6563
O3 0.4160 0.4731 0.8277
O4 0.7525 0.5791 0.5098
O5 0.8241 0.2751 0.6563
O6 0.9168 0.9731 0.8277
F1 0.0730 0.0248 0.1433
F2 0.1590 0.3812 0.3231
F3 0.4823 0.8261 0.9679
F4 0.5730 0.5248 0.1433
F5 0.6587 0.8812 0.3230
F6 0.9822 0.3261 0.9679

Calculated values
Formation energy from the elements, eV/atom: -2.793
Crystal system: triclinic
Final energy, eV/atom: -6.215

---

Please write out number 2 again, unchanged.
Li3V2O3F3: relaxed, PBE+U.

a = 3.2296 Å, b = 5.6746 Å, c = 13.4714 Å
α = 93.74°, β = 96.73°, γ = 90.39°
Space group P1 (No. 1)
Inequivalent atoms, fractional coordinates:
Li1 0.0000 0.0000 0.0000
Li2 0.0897 0.3617 0.1804
Li3 0.1792 0.0558 0.3605
Li4 0.5000 0.5000 0.0000
Li5 0.5896 0.8617 0.1804
Li6 0.6793 0.5560 0.3604
V1 0.2831 0.4266 0.5716
V2 0.4006 0.7991 0.8001
V3 0.7880 0.9265 0.5717
V4 0.8999 0.2990 0.8001
O1 0.2493 0.0788 0.5100
O2 0.3303 0.7749 0.6563
O3 0.4160 0.4731 0.8277
O4 0.7525 0.5791 0.5098
O5 0.8241 0.2751 0.6563
O6 0.9168 0.9731 0.8277
F1 0.0730 0.0248 0.1433
F2 0.1590 0.3812 0.3231
F3 0.4823 0.8261 0.9679
F4 0.5730 0.5248 0.1433
F5 0.6587 0.8812 0.3230
F6 0.9822 0.3261 0.9679

Calculated values
Formation energy from the elements, eV/atom: -2.793
Crystal system: triclinic
Final energy, eV/atom: -6.215

---

Copy entry 2 word for word.
Li3V2O3F3: relaxed, PBE+U.

a = 3.2296 Å, b = 5.6746 Å, c = 13.4714 Å
α = 93.74°, β = 96.73°, γ = 90.39°
Space group P1 (No. 1)
Inequivalent atoms, fractional coordinates:
Li1 0.0000 0.0000 0.0000
Li2 0.0897 0.3617 0.1804
Li3 0.1792 0.0558 0.3605
Li4 0.5000 0.5000 0.0000
Li5 0.5896 0.8617 0.1804
Li6 0.6793 0.5560 0.3604
V1 0.2831 0.4266 0.5716
V2 0.4006 0.7991 0.8001
V3 0.7880 0.9265 0.5717
V4 0.8999 0.2990 0.8001
O1 0.2493 0.0788 0.5100
O2 0.3303 0.7749 0.6563
O3 0.4160 0.4731 0.8277
O4 0.7525 0.5791 0.5098
O5 0.8241 0.2751 0.6563
O6 0.9168 0.9731 0.8277
F1 0.0730 0.0248 0.1433
F2 0.1590 0.3812 0.3231
F3 0.4823 0.8261 0.9679
F4 0.5730 0.5248 0.1433
F5 0.6587 0.8812 0.3230
F6 0.9822 0.3261 0.9679

Calculated values
Formation energy from the elements, eV/atom: -2.793
Crystal system: triclinic
Final energy, eV/atom: -6.215